Entry 1:
Computed, not measured: a geometry-optimized Tb2Ce structure at the meta-GGA r2SCAN level of DFT.

Lattice parameters (Å, degrees): 3.6194 3.6194 25.7542 90.00 90.00 120.00
Space group R-3m (No. 166, hexagonal axes)
Symmetry-distinct sites (fractional):
Tb1 0.0000 0.0000 0.2218 [6 per cell]
Ce1 0.0000 0.0000 0.0000 [3 per cell]

Output
**Size of the total moment**: 0.402 μB/atom
**E_form**: 0.021 eV/atom
**Crystal system**: trigonal



Entry 2:
Computed, not measured: a geometry-optimized Y2CuRu structure at the meta-GGA r2SCAN level of DFT.

Lattice parameters (Å, degrees): 6.8447 6.8447 6.8447 90.00 90.00 90.00
Space group Fm-3m (No. 225)
Symmetry-distinct sites (fractional):
Y1 0.2500 0.2500 0.2500 [8 per cell]
Cu1 0.0000 0.0000 0.0000 [4 per cell]
Ru1 0.0000 0.0000 0.5000 [4 per cell]

Output
**Size of the total moment**: 0.000 μB/atom
**E_form**: -0.313 eV/atom
**Crystal system**: cubic



Entry 3:
Computed, not measured: a geometry-optimized ErLuRh2 structure at the meta-GGA r2SCAN level of DFT.

Lattice parameters (Å, degrees): 6.6936 6.6936 6.6936 90.00 90.00 90.00
Space group Fm-3m (No. 225)
Symmetry-distinct sites (fractional):
Er1 0.0000 0.0000 0.0000 [4 per cell]
Lu1 0.0000 0.0000 0.5000 [4 per cell]
Rh1 0.2500 0.2500 0.2500 [8 per cell]

Output
**Size of the total moment**: 0.000 μB/atom
**E_form**: -1.045 eV/atom
**Crystal system**: cubic



Entry 4:
Computed, not measured: a geometry-optimized Y3Ga5O12 structure at the meta-GGA r2SCAN level of DFT.

Lattice parameters (Å, degrees): 12.2952 12.2952 12.2952 90.00 90.00 90.00
Space group Ia-3d (No. 230)
Symmetry-distinct sites (fractional):
Y1 0.0000 0.2500 0.1250 [24 per cell]
Ga1 0.0000 0.0000 0.0000 [16 per cell]
Ga2 0.0000 0.2500 0.3750 [24 per cell]
O1 0.0274 0.0556 0.6499 [96 per cell]

Output
**Size of the total moment**: 0.000 μB/atom
**E_form**: -2.831 eV/atom
**Crystal system**: cubic



Entry 5:
Computed, not measured: a geometry-optimized LiHoHg2 structure at the meta-GGA r2SCAN level of DFT.

Lattice parameters (Å, degrees): 7.0141 7.0141 7.0141 90.00 90.00 90.00
Space group Fm-3m (No. 225)
Symmetry-distinct sites (fractional):
Li1 0.0000 0.0000 0.0000 [4 per cell]
Ho1 0.0000 0.0000 0.5000 [4 per cell]
Hg1 0.2500 0.2500 0.2500 [8 per cell]

Output
**Size of the total moment**: 0.000 μB/atom
**E_form**: -0.502 eV/atom
**Crystal system**: cubic



Entry 6:
Computed, not measured: a geometry-optimized RbU2SbS8 structure at the meta-GGA r2SCAN level of DFT.

Lattice parameters (Å, degrees): 7.9938 11.1565 7.5864 90.00 105.39 90.00
Space group Cm (No. 8)
Symmetry-distinct sites (fractional):
Rb1 0.0000 0.0000 0.0000 [2 per cell]
U1 0.1326 0.2503 0.5328 [4 per cell]
Sb1 0.4559 0.0000 0.8280 [2 per cell]
S1 0.1500 0.5000 0.6277 [2 per cell]
S2 0.1616 0.0000 0.6252 [2 per cell]
S3 0.3238 0.3494 0.3077 [4 per cell]
S4 0.3256 0.1642 0.2980 [4 per cell]
S5 0.4461 0.2400 0.7852 [4 per cell]

Output
**Size of the total moment**: 0.333 μB/atom
**E_form**: -1.247 eV/atom
**Crystal system**: monoclinic



Entry 7:
Computed, not measured: a geometry-optimized Sr2FeH6 structure at the meta-GGA r2SCAN level of DFT.

Lattice parameters (Å, degrees): 7.4153 7.4153 7.4153 90.00 90.00 90.00
Space group Fm-3m (No. 225)
Symmetry-distinct sites (fractional):
Sr1 0.2500 0.2500 0.2500 [8 per cell]
Fe1 0.0000 0.0000 0.0000 [4 per cell]
H1 0.0000 0.0000 0.2175 [24 per cell]

Output
**Size of the total moment**: 0.000 μB/atom
**E_form**: -0.568 eV/atom
**Crystal system**: cubic



Entry 8:
Computed, not measured: a geometry-optimized Ba2As6O11 structure at the meta-GGA r2SCAN level of DFT.

Lattice parameters (Å, degrees): 8.3663 9.1033 9.3511 73.86 72.79 75.91
Space group P-1 (No. 2)
Symmetry-distinct sites (fractional):
Ba1 0.0304 0.4388 0.2743 [2 per cell]
Ba2 0.4592 0.5784 0.2324 [2 per cell]
As1 0.0976 0.8964 0.3072 [2 per cell]
As2 0.1890 0.1761 0.9316 [2 per cell]
As3 0.2001 0.7356 0.9384 [2 per cell]
As4 0.2946 0.2571 0.5683 [2 per cell]
As5 0.3031 0.8302 0.5694 [2 per cell]
As6 0.4167 0.0872 0.1830 [2 per cell]
O1 0.0162 0.3144 0.0161 [2 per cell]
O2 0.0994 0.7390 0.2418 [2 per cell]
O3 0.1517 0.7876 0.4923 [2 per cell]
O4 0.2068 0.4347 0.4790 [2 per cell]
O5 0.2514 0.6867 0.7440 [2 per cell]
O6 0.2574 0.3146 0.7579 [2 per cell]
O7 0.2818 0.1860 0.3136 [2 per cell]
O8 0.3054 0.5608 0.0172 [2 per cell]
O9 0.3188 0.9187 0.2095 [2 per cell]
O10 0.3467 0.2053 0.0096 [2 per cell]
O11 0.4843 0.6977 0.4886 [2 per cell]

Output
**Size of the total moment**: 0.000 μB/atom
**E_form**: -1.791 eV/atom
**Crystal system**: triclinic



Entry 9:
Computed, not measured: a geometry-optimized Na5OsO6 structure at the meta-GGA r2SCAN level of DFT.

Lattice parameters (Å, degrees): 5.6102 9.6629 5.5305 90.00 110.40 90.00
Space group C2/m (No. 12)
Symmetry-distinct sites (fractional):
Na1 0.0000 0.0000 0.0000 [2 per cell]
Na2 0.0000 0.1676 0.5000 [4 per cell]
Na3 0.0000 0.3231 0.0000 [4 per cell]
Os1 0.0000 0.5000 0.5000 [2 per cell]
O1 0.2028 0.5000 0.2943 [4 per cell]
O2 0.2134 0.3584 0.7182 [8 per cell]

Output
**Size of the total moment**: 0.083 μB/atom
**E_form**: -1.621 eV/atom
**Crystal system**: monoclinic



Entry 10:
Computed, not measured: a geometry-optimized LiPt3 structure at the meta-GGA r2SCAN level of DFT.

Lattice parameters (Å, degrees): 3.8533 3.8533 3.8533 90.00 90.00 90.00
Space group Pm-3m (No. 221)
Symmetry-distinct sites (fractional):
Li1 0.0000 0.0000 0.0000 [1 per cell]
Pt1 0.0000 0.5000 0.5000 [3 per cell]

Output
**Size of the total moment**: 0.000 μB/atom
**E_form**: -0.481 eV/atom
**Crystal system**: cubic



Entry 11:
Computed, not measured: a geometry-optimized Ba structure at the meta-GGA r2SCAN level of DFT.

Lattice parameters (Å, degrees): 6.4653 6.4653 6.4653 90.00 90.00 90.00
Space group Fm-3m (No. 225)
Symmetry-distinct sites (fractional):
Ba1 0.0000 0.0000 0.0000 [4 per cell]

Output
**Size of the total moment**: 0.000 μB/atom
**E_form**: 0.094 eV/atom
**Offset from the most stable computed form**: 93.5 meV per atom
**Crystal system**: cubic



Entry 12:
Computed, not measured: a geometry-optimized CaInBr3 structure at the meta-GGA r2SCAN level of DFT.

Lattice parameters (Å, degrees): 4.2668 14.1148 10.8883 90.00 90.00 90.00
Space group Cmcm (No. 63)
Symmetry-distinct sites (fractional):
Ca1 0.0000 0.0000 0.0000 [4 per cell]
In1 0.0000 0.2617 0.2500 [4 per cell]
Br1 0.0000 0.0687 0.7500 [4 per cell]
Br2 0.0000 0.3646 0.5469 [8 per cell]

Output
**Size of the total moment**: 0.000 μB/atom
**E_form**: -1.696 eV/atom
**Crystal system**: orthorhombic



Entry 13:
Computed, not measured: a geometry-optimized Cs4B9S9 structure at the meta-GGA r2SCAN level of DFT.

Lattice parameters (Å, degrees): 10.4423 10.4595 10.9584 103.53 92.14 109.73
Space group P-1 (No. 2)
Symmetry-distinct sites (fractional):
Cs1 0.0102 0.1496 0.3787 [2 per cell]
Cs2 0.3706 0.1147 0.1306 [2 per cell]
Cs3 0.3790 0.7457 0.5288 [2 per cell]
Cs4 0.3814 0.3170 0.7585 [2 per cell]
B1 0.0240 0.3782 0.8772 [2 per cell]
B2 0.0317 0.6619 0.9798 [2 per cell]
B3 0.0411 0.4911 0.1460 [2 per cell]
B4 0.1333 0.5615 0.9179 [2 per cell]
B5 0.1394 0.4541 0.0227 [2 per cell]
B6 0.1413 0.6284 0.0846 [2 per cell]
B7 0.1789 0.8532 0.3011 [2 per cell]
B8 0.2308 0.8239 0.8568 [2 per cell]
B9 0.2568 0.4293 0.2508 [2 per cell]
S1 0.0108 0.2309 0.7366 [2 per cell]
S2 0.0854 0.8352 0.9430 [2 per cell]
S3 0.1075 0.4756 0.2990 [2 per cell]
S4 0.2574 0.0004 0.4319 [2 per cell]
S5 0.2691 0.6593 0.8336 [2 per cell]
S6 0.2818 0.7767 0.1941 [2 per cell]
S7 0.2859 0.4118 0.0818 [2 per cell]
S8 0.3301 0.9656 0.7989 [2 per cell]
S9 0.3686 0.4073 0.3616 [2 per cell]

Output
**Size of the total moment**: 0.000 μB/atom
**E_form**: -0.895 eV/atom
**Crystal system**: triclinic



Entry 14:
Computed, not measured: a geometry-optimized BaZnCl4 structure at the meta-GGA r2SCAN level of DFT.

Lattice parameters (Å, degrees): 7.2743 9.9759 9.6291 90.00 90.00 90.00
Space group Pnna (No. 52)
Symmetry-distinct sites (fractional):
Ba1 0.1813 0.2500 0.2500 [4 per cell]
Zn1 0.2500 0.0000 0.6752 [4 per cell]
Cl1 0.0038 0.5366 0.3092 [8 per cell]
Cl2 0.1653 0.6836 0.9482 [8 per cell]

Output
**Size of the total moment**: 0.000 μB/atom
**E_form**: -2.064 eV/atom
**Crystal system**: orthorhombic



Entry 15:
Computed, not measured: a geometry-optimized LiCa2Ge3 structure at the meta-GGA r2SCAN level of DFT.

Lattice parameters (Å, degrees): 10.7103 11.3573 4.4110 90.00 90.00 90.00
Space group Pnnm (No. 58)
Symmetry-distinct sites (fractional):
Li1 0.1379 0.2178 0.0000 [4 per cell]
Ca1 0.0526 0.6477 0.5000 [4 per cell]
Ca2 0.1783 0.9281 0.0000 [4 per cell]
Ge1 0.0287 0.1042 0.5000 [4 per cell]
Ge2 0.1108 0.4555 0.0000 [4 per cell]
Ge3 0.2437 0.6412 0.0000 [4 per cell]

Output
**Size of the total moment**: 0.000 μB/atom
**E_form**: -0.655 eV/atom
**Crystal system**: orthorhombic



Entry 16:
Computed, not measured: a geometry-optimized Yb3SnH2 structure at the meta-GGA r2SCAN level of DFT.

Lattice parameters (Å, degrees): 8.1711 10.5888 5.0981 90.00 90.00 90.00
Space group Cmcm (No. 63)
Symmetry-distinct sites (fractional):
Yb1 0.0000 0.1145 0.2500 [4 per cell]
Yb2 0.2050 0.3909 0.2500 [8 per cell]
Sn1 0.0000 0.3185 0.7500 [4 per cell]
H1 0.1463 0.0000 0.0000 [8 per cell]

Output
**Size of the total moment**: 0.000 μB/atom
**E_form**: -0.655 eV/atom
**Crystal system**: orthorhombic



Entry 17:
Computed, not measured: a geometry-optimized YbCdAu2 structure at the meta-GGA r2SCAN level of DFT.

Lattice parameters (Å, degrees): 6.8412 6.8412 6.8412 90.00 90.00 90.00
Space group Fm-3m (No. 225)
Symmetry-distinct sites (fractional):
Yb1 0.0000 0.0000 0.0000 [4 per cell]
Cd1 0.0000 0.0000 0.5000 [4 per cell]
Au1 0.2500 0.2500 0.2500 [8 per cell]

Output
**Size of the total moment**: 0.000 μB/atom
**E_form**: -0.732 eV/atom
**Crystal system**: cubic